[1]
# CrN2

A relaxed CrN2 crystal (PBE, the Materials Project database).

Properties
ρ: 2.0 g/cm3
E_form: -108 meV/atom
Crystal system: orthorhombic
Space group: No. 63
Total DFT energy (no corrections): -8.643 eV per atom

Lattice parameters (Å, degrees): 13.720 13.720 9.177 90.00 90.00 109.08
Sites, in units of the cell vectors:
Cr  0.774  0.226  0.437
Cr  0.226  0.774  0.563
Cr  0.774  0.226  0.063
Cr  0.226  0.774  0.937
Cr  0.623  0.377  0.436
Cr  0.377  0.623  0.564
Cr  0.623  0.377  0.064
Cr  0.377  0.623  0.936
Cr  0.382  0.240  0.562
Cr  0.240  0.382  0.438
Cr  0.382  0.240  0.938
Cr  0.240  0.382  0.062
Cr  0.618  0.760  0.438
Cr  0.760  0.618  0.562
Cr  0.618  0.760  0.062
Cr  0.760  0.618  0.938
Cr  0.617  0.995  0.562
Cr  0.995  0.617  0.438
Cr  0.617  0.995  0.938
Cr  0.995  0.617  0.062
Cr  0.383  0.005  0.438
Cr  0.005  0.383  0.562
Cr  0.383  0.005  0.062
Cr  0.005  0.383  0.938
N  0.781  0.219  0.250
N  0.219  0.781  0.750
N  0.614  0.386  0.250
N  0.386  0.614  0.750
N  0.381  0.239  0.750
N  0.239  0.381  0.250
N  0.619  0.761  0.250
N  0.761  0.619  0.750
N  0.613  0.993  0.750
N  0.993  0.613  0.250
N  0.387  0.007  0.250
N  0.007  0.387  0.750
N  0.698  0.302  0.476
N  0.302  0.698  0.524
N  0.698  0.302  0.024
N  0.302  0.698  0.976
N  0.500  0.320  0.505
N  0.320  0.500  0.495
N  0.500  0.320  0.995
N  0.320  0.500  0.005
N  0.500  0.680  0.495
N  0.680  0.500  0.505
N  0.500  0.680  0.005
N  0.680  0.500  0.995
N  0.288  0.288  0.500
N  0.288  0.288  0.000
N  0.712  0.712  0.500
N  0.712  0.712  0.000
N  0.363  0.116  0.498
N  0.116  0.363  0.502
N  0.363  0.116  0.002
N  0.116  0.363  0.998
N  0.637  0.884  0.502
N  0.884  0.637  0.498
N  0.637  0.884  0.998
N  0.884  0.637  0.002
N  0.500  0.000  0.500
N  0.000  0.500  0.500
N  0.500  0.000  0.000
N  0.000  0.500  0.000
N  0.715  0.104  0.505
N  0.104  0.715  0.495
N  0.715  0.104  0.995
N  0.104  0.715  0.005
N  0.285  0.896  0.495
N  0.896  0.285  0.505
N  0.285  0.896  0.005
N  0.896  0.285  0.995


[2]
# Zr2H2Pd

A relaxed Zr2H2Pd crystal (PBE, the Materials Project database).

Properties
ρ: 7.4 g/cm3
E_form: -543 meV/atom
Crystal system: tetragonal
Space group: No. 139
Total DFT energy (no corrections): -6.355 eV per atom

Lattice parameters (Å, degrees): 3.189 3.189 6.807 103.55 103.55 90.00
Sites, in units of the cell vectors:
Zr  0.643  0.643  0.287
Zr  0.357  0.357  0.713
H  0.250  0.750  0.500
H  0.750  0.250  0.500
Pd  0.000  0.000  0.000


[3]
# Ti4Pb2O9F2

A relaxed Ti4Pb2O9F2 crystal (PBE, the Materials Project database).

Properties
ρ: 6.0 g/cm3
E_form: -3124 meV/atom
Crystal system: monoclinic
Space group: No. 12
Total DFT energy (no corrections): -7.846 eV per atom

Lattice parameters (Å, degrees): 7.754 7.754 10.496 48.14 48.14 28.70
Sites, in units of the cell vectors:
Ti  0.658  0.658  0.773
Ti  0.342  0.342  0.227
Ti  0.621  0.621  0.453
Ti  0.379  0.379  0.547
Pb  0.085  0.085  0.164
Pb  0.915  0.915  0.836
O  0.198  0.198  0.755
O  0.802  0.802  0.245
O  0.852  0.852  0.568
O  0.148  0.148  0.432
O  0.500  0.500  0.000
O  0.437  0.437  0.662
O  0.563  0.563  0.338
O  0.615  0.615  0.652
O  0.385  0.385  0.348
F  0.712  0.712  0.938
F  0.288  0.288  0.062